# 1
The following is a DFT calculation (PBE) of crystalline CeMgPd at its relaxed geometry.

Cell lengths 7.6276, 7.6276, 4.0829 Å; angles 90.00, 90.00, 120.00 degrees
Fractional positions:
Ce1 0.0000 0.5834 0.0000
Ce2 0.4166 0.4166 0.0000
Ce3 0.5834 0.0000 0.0000
Mg1 0.0000 0.2384 0.5000
Mg2 0.2384 0.0000 0.5000
Mg3 0.7616 0.7616 0.5000
Pd1 0.0000 0.0000 0.0000
Pd2 0.3333 0.6667 0.5000
Pd3 0.6667 0.3333 0.5000

Energy of formation from the pure elements = -1.7 eV per formula unit

***

# 2
The following is a DFT calculation (PBE) of crystalline CeMgPt at its relaxed geometry.

Cell lengths 7.5292, 7.5292, 4.1157 Å; angles 90.00, 90.00, 120.00 degrees
Fractional positions:
Ce1 0.0000 0.5850 0.0000
Ce2 0.4150 0.4150 0.0000
Ce3 0.5850 0.0000 0.0000
Mg1 0.0000 0.2400 0.5000
Mg2 0.2400 0.0000 0.5000
Mg3 0.7600 0.7600 0.5000
Pt1 0.0000 0.0000 0.0000
Pt2 0.3333 0.6667 0.5000
Pt3 0.6667 0.3333 0.5000

Energy of formation from the pure elements = -2.5 eV per formula unit

***

# 3
The following is a DFT calculation (PBE) of crystalline CeMgRh at its relaxed geometry.

Cell lengths 7.4103, 7.4103, 4.0812 Å; angles 90.00, 90.00, 120.00 degrees
Fractional positions:
Ce1 0.0000 0.5834 0.0000
Ce2 0.4166 0.4166 0.0000
Ce3 0.5834 0.0000 0.0000
Mg1 0.0000 0.2400 0.5000
Mg2 0.2400 0.0000 0.5000
Mg3 0.7600 0.7600 0.5000
Rh1 0.0000 0.0000 0.0000
Rh2 0.3333 0.6667 0.5000
Rh3 0.6667 0.3333 0.5000

Energy of formation from the pure elements = -1.7 eV per formula unit

***

# 4
The following is a DFT calculation (PBE) of crystalline Ce2Mg17Ru4 at its relaxed geometry.

Cell lengths 8.6034, 8.6034, 8.6034 Å; angles 109.97, 109.97, 108.48 degrees
Fractional positions:
Ce1 0.1468 0.1468 0.0000
Ce2 0.8532 0.8532 0.0000
Mg1 0.0000 0.3241 0.3241
Mg2 0.0000 0.6759 0.6759
Mg3 0.0106 0.2580 0.6473
Mg4 0.2158 0.6476 0.0000
Mg5 0.2580 0.0106 0.6473
Mg6 0.3241 0.0000 0.3241
Mg7 0.3524 0.3524 0.5682
Mg8 0.3633 0.6107 0.3527
Mg9 0.3893 0.7420 0.7526
Mg10 0.5000 0.5000 0.0000
Mg11 0.6107 0.3633 0.3527
Mg12 0.6367 0.9894 0.2474
Mg13 0.6476 0.2158 0.0000
Mg14 0.6759 0.0000 0.6759
Mg15 0.7420 0.3893 0.7526
Mg16 0.7842 0.7842 0.4318
Mg17 0.9894 0.6367 0.2474
Ru1 0.0000 0.0000 0.3308
Ru2 0.0000 0.3308 0.0000
Ru3 0.3308 0.0000 0.0000
Ru4 0.6692 0.6692 0.6692

Energy of formation from the pure elements = -4.0 eV per formula unit
Magnetic moment = 0.040 μB per atom